Computed, not measured: a relaxed Mg6VB crystal at the PBE-GGA level of DFT.

Values from the calculation:
The value obtained for the energy above the most stable polymorph in this dataset is 0.00 eV/f.u. The formation energy is 0.208 eV/atom. As for the final energy: -23.7 eV per formula unit.

```
Mg6VB
1.0
4.617 -5.159 0.000
4.617 5.159 0.000
0.000 0.000 3.323
Mg V B
6 1 1
Cartesian
4.617 4.243 1.662
4.617 1.720 0.000
2.217 1.328 1.662
7.016 1.328 1.662
6.177 -1.265 0.000
3.056 -1.265 0.000
4.617 -3.653 0.000
4.617 -2.436 1.662
```